[1]
{"formula": "Mn2ZnP2O9", "functional": "GGA+U", "state": "relaxed", "e_form_ev_per_atom": -2.306, "spacegroup": "No. 62", "magmom_total_mub_per_atom": 0.57, "crystal_system": "orthorhombic", "cell": [[-0.715, 5.856, -2.254], [1.445, -2.427, -6.764], [-14.137, -2.538, -2.109]], "species": ["O", "P", "O", "O", "O", "O", "Zn", "O", "Mn", "O", "O", "Mn", "O", "O", "Mn", "P", "O", "P", "O", "O", "O", "P", "O", "P", "Zn", "Mn", "O", "Mn", "O", "O", "Mn", "O", "O", "O", "O", "O", "O", "P", "P", "O", "O", "Mn", "Zn", "O", "Zn", "O", "O", "O", "O", "P", "Mn", "O", "O", "O", "O", "O"], "frac_coords": [[0.436, 0.378, 0.639], [0.250, 0.133, 0.070], [0.959, 0.390, 0.854], [0.936, 0.622, 0.361], [0.064, 0.378, 0.639], [0.564, 0.622, 0.361], [0.750, 0.585, 0.225], [0.250, 0.515, 0.498], [0.250, 0.853, 0.883], [0.750, 0.134, 0.548], [0.250, 0.039, 0.777], [0.250, 0.647, 0.383], [0.750, 0.206, 0.735], [0.564, 0.878, 0.861], [0.750, 0.147, 0.117], [0.750, 0.385, 0.797], [0.541, 0.110, 0.354], [0.750, 0.867, 0.930], [0.436, 0.122, 0.139], [0.936, 0.878, 0.861], [0.959, 0.110, 0.354], [0.750, 0.633, 0.430], [0.750, 0.539, 0.723], [0.750, 0.115, 0.297], [0.250, 0.415, 0.775], [0.000, 0.500, 0.000], [0.250, 0.324, 0.023], [0.500, 0.000, 0.500], [0.750, 0.294, 0.235], [0.459, 0.890, 0.646], [0.500, 0.500, 0.000], [0.250, 0.634, 0.952], [0.064, 0.122, 0.139], [0.750, 0.015, 0.002], [0.750, 0.961, 0.223], [0.250, 0.866, 0.452], [0.750, 0.676, 0.977], [0.250, 0.885, 0.703], [0.250, 0.367, 0.570], [0.041, 0.890, 0.646], [0.459, 0.610, 0.146], [0.000, 0.000, 0.500], [0.750, 0.915, 0.725], [0.041, 0.610, 0.146], [0.250, 0.085, 0.275], [0.250, 0.985, 0.998], [0.750, 0.824, 0.477], [0.750, 0.485, 0.502], [0.250, 0.176, 0.523], [0.250, 0.615, 0.203], [0.750, 0.353, 0.617], [0.541, 0.390, 0.854], [0.250, 0.706, 0.765], [0.750, 0.366, 0.048], [0.250, 0.461, 0.277], [0.250, 0.794, 0.265]]}

---

[2]
{"formula": "Mn2ZnP2O10", "functional": "GGA+U", "state": "relaxed", "e_form_ev_per_atom": -2.086, "spacegroup": "No. 70", "magmom_total_mub_per_atom": 0.40, "crystal_system": "orthorhombic", "cell": [[2.385, 7.016, 6.832], [-1.814, 8.725, 2.051], [-2.732, -0.514, 5.973]], "species": ["O", "O", "O", "O", "O", "O", "O", "O", "O", "P", "O", "P", "O", "Mn", "Zn", "O", "Mn", "O", "P", "P", "O", "O", "O", "O", "Mn", "Zn", "O", "O", "Mn", "O"], "frac_coords": [[0.419, 0.419, 0.581], [0.888, 0.587, 0.337], [0.362, 0.663, 0.913], [0.912, 0.282, 0.559], [0.587, 0.888, 0.188], [0.338, 0.968, 0.691], [0.968, 0.338, 0.002], [0.831, 0.831, 0.669], [0.669, 0.669, 0.831], [0.457, 0.457, 0.043], [0.002, 0.691, 0.968], [0.043, 0.043, 0.457], [0.581, 0.581, 0.419], [0.625, 0.125, 0.625], [0.000, 0.000, 0.000], [0.062, 0.913, 0.663], [0.625, 0.625, 0.625], [0.282, 0.912, 0.248], [0.207, 0.207, 0.793], [0.793, 0.793, 0.207], [0.559, 0.248, 0.912], [0.691, 0.002, 0.338], [0.188, 0.337, 0.587], [0.337, 0.188, 0.888], [0.625, 0.625, 0.125], [0.250, 0.250, 0.250], [0.248, 0.559, 0.282], [0.663, 0.362, 0.062], [0.125, 0.625, 0.625], [0.913, 0.062, 0.362]]}

---

[3]
{"formula": "Mn2ZnP2O8", "functional": "GGA+U", "state": "relaxed", "e_form_ev_per_atom": -2.431, "spacegroup": "No. 15", "magmom_total_mub_per_atom": 0.77, "crystal_system": "monoclinic", "cell": [[2.495, 8.282, 0.000], [-2.495, 8.282, 0.000], [0.000, 8.050, 15.481]], "species": ["O", "O", "O", "P", "O", "O", "Mn", "O", "O", "O", "P", "O", "O", "O", "O", "O", "O", "O", "Mn", "O", "O", "P", "Zn", "Zn", "P", "O", "P", "O", "O", "Zn", "Zn", "Mn", "O", "O", "Mn", "Mn", "O", "O", "P", "O", "Mn", "O", "O", "O", "Mn", "P", "P", "O", "O", "Mn", "O", "O"], "frac_coords": [[0.264, 0.575, 0.558], [0.874, 0.899, 0.943], [0.858, 0.946, 0.789], [0.802, 0.884, 0.382], [0.120, 0.374, 0.585], [0.471, 0.169, 0.390], [0.668, 0.332, 0.750], [0.374, 0.120, 0.085], [0.425, 0.736, 0.942], [0.946, 0.858, 0.289], [0.636, 0.568, 0.864], [0.550, 0.475, 0.856], [0.169, 0.471, 0.890], [0.244, 0.386, 0.718], [0.697, 0.060, 0.610], [0.614, 0.756, 0.782], [0.303, 0.940, 0.390], [0.386, 0.244, 0.218], [0.424, 0.314, 0.968], [0.101, 0.126, 0.557], [0.529, 0.831, 0.610], [0.568, 0.636, 0.364], [0.191, 0.291, 0.342], [0.291, 0.191, 0.842], [0.364, 0.432, 0.136], [0.831, 0.529, 0.110], [0.884, 0.802, 0.882], [0.475, 0.550, 0.356], [0.940, 0.303, 0.890], [0.809, 0.709, 0.658], [0.709, 0.809, 0.158], [0.686, 0.576, 0.532], [0.142, 0.054, 0.211], [0.525, 0.450, 0.644], [0.314, 0.424, 0.468], [0.576, 0.686, 0.032], [0.054, 0.142, 0.711], [0.899, 0.874, 0.443], [0.116, 0.198, 0.118], [0.736, 0.425, 0.442], [0.332, 0.668, 0.250], [0.060, 0.697, 0.110], [0.575, 0.264, 0.058], [0.880, 0.626, 0.415], [0.000, 0.000, 0.500], [0.432, 0.364, 0.636], [0.198, 0.116, 0.618], [0.756, 0.614, 0.282], [0.626, 0.880, 0.915], [0.000, 0.000, 0.000], [0.126, 0.101, 0.057], [0.450, 0.525, 0.144]]}

---

[4]
{"formula": "MnZnP2O7", "functional": "GGA+U", "state": "relaxed", "e_form_ev_per_atom": -2.485, "magmom_total_mub_per_atom": 0.00, "de_polymorph_ev_per_atom": 0.014, "cell": [[5.611, -0.109, 0.316], [-1.447, 12.300, 1.471], [0.131, 0.024, 7.465]], "species": ["O", "O", "Mn", "O", "Mn", "O", "P", "O", "P", "O", "O", "O", "Zn", "Mn", "P", "O", "Zn", "O", "O", "O", "P", "O", "P", "P", "O", "O", "O", "Mn", "O", "Zn", "O", "O", "Zn", "O", "O", "O", "O", "O", "O", "O", "O", "P", "P", "O"], "frac_coords": [[0.048, 0.157, 0.102], [0.800, 0.864, 0.205], [0.658, 0.922, 0.806], [0.060, 0.676, 0.574], [0.842, 0.578, 0.194], [0.255, 0.570, 0.898], [0.461, 0.658, 0.911], [0.940, 0.324, 0.426], [0.819, 0.599, 0.615], [0.416, 0.773, 0.831], [0.300, 0.364, 0.205], [0.156, 0.109, 0.459], [0.157, 0.826, 0.653], [0.158, 0.422, 0.805], [0.961, 0.158, 0.911], [0.344, 0.391, 0.541], [0.843, 0.174, 0.347], [0.916, 0.273, 0.831], [0.548, 0.657, 0.102], [0.359, 0.980, 0.669], [0.681, 0.901, 0.385], [0.245, 0.930, 0.102], [0.539, 0.342, 0.089], [0.319, 0.099, 0.615], [0.641, 0.020, 0.331], [0.700, 0.636, 0.795], [0.656, 0.609, 0.459], [0.342, 0.078, 0.195], [0.560, 0.176, 0.574], [0.657, 0.326, 0.653], [0.584, 0.227, 0.169], [0.084, 0.727, 0.169], [0.343, 0.674, 0.347], [0.844, 0.891, 0.541], [0.952, 0.843, 0.898], [0.755, 0.070, 0.898], [0.452, 0.343, 0.898], [0.440, 0.824, 0.426], [0.200, 0.136, 0.795], [0.141, 0.520, 0.331], [0.746, 0.430, 0.102], [0.039, 0.842, 0.089], [0.181, 0.401, 0.385], [0.859, 0.480, 0.669]]}

---

[5]
{"formula": "MnPbO3", "functional": "GGA+U", "state": "relaxed", "e_form_ev_per_atom": -1.655, "spacegroup": "No. 13", "magmom_total_mub_per_atom": 0.60, "crystal_system": "monoclinic", "cell": [[10.047, 0.000, 0.000], [0.000, 5.846, 0.000], [-0.179, 0.000, 5.402]], "species": ["O", "O", "Pb", "Mn", "O", "O", "Mn", "O", "O", "Pb", "Pb", "O", "O", "Mn", "Pb", "O", "O", "Mn", "O", "O"], "frac_coords": [[0.095, 0.377, 0.426], [0.095, 0.623, 0.926], [0.622, 0.750, 0.007], [0.000, 0.125, 0.250], [0.500, 0.002, 0.250], [0.097, 0.127, 0.914], [0.000, 0.624, 0.250], [0.905, 0.377, 0.074], [0.903, 0.127, 0.586], [0.378, 0.750, 0.493], [0.378, 0.250, 0.993], [0.097, 0.873, 0.414], [0.905, 0.623, 0.574], [0.000, 0.376, 0.750], [0.622, 0.250, 0.507], [0.903, 0.873, 0.086], [0.500, 0.998, 0.750], [0.000, 0.875, 0.750], [0.500, 0.496, 0.750], [0.500, 0.504, 0.250]]}

---

[6]
{"formula": "Mn9Pb4O20", "functional": "GGA+U", "state": "relaxed", "e_form_ev_per_atom": -1.814, "spacegroup": "No. 62", "magmom_total_mub_per_atom": 0.94, "crystal_system": "orthorhombic", "cell": [[9.192, 2.966, -3.232], [-4.071, 10.669, -1.785], [3.530, 3.576, 13.322]], "species": ["O", "Mn", "Pb", "O", "O", "O", "O", "O", "Pb", "Mn", "Pb", "Mn", "Pb", "Mn", "O", "O", "Mn", "O", "O", "Mn", "Mn", "O", "O", "O", "O", "Mn", "Pb", "O", "O", "Mn", "Mn", "O", "O", "O", "O", "Pb", "O", "O", "Mn", "O", "Pb", "O", "O", "O", "O", "Mn", "O", "Mn", "O", "Mn", "Pb", "Mn", "O", "O", "O", "O", "O", "Mn", "O", "O", "Mn", "O", "O", "O", "Mn", "O", "Pb", "O", "Pb", "Mn", "O", "O", "O", "Mn", "O", "O", "Mn", "Mn", "O", "Mn", "Pb", "O", "Pb", "O", "Mn", "O", "Pb", "O", "O", "O", "Mn", "Mn", "O", "O", "Mn", "O", "O", "O", "O", "O", "Pb", "O", "O", "Mn", "Mn", "O", "O", "O", "Pb", "O", "O", "O", "O", "Mn", "O", "Mn", "O", "O", "Mn", "Mn", "O", "O", "O", "O", "O", "Mn", "O", "Pb", "O", "Mn", "Mn", "O"], "frac_coords": [[0.904, 0.118, 0.919], [0.334, 0.750, 0.828], [0.075, 0.250, 0.893], [0.096, 0.882, 0.081], [0.904, 0.382, 0.919], [0.253, 0.124, 0.237], [0.920, 0.370, 0.593], [0.923, 0.627, 0.903], [0.644, 0.940, 0.074], [0.166, 0.750, 0.328], [0.144, 0.440, 0.426], [0.580, 0.883, 0.834], [0.215, 0.750, 0.559], [0.916, 0.380, 0.175], [0.358, 0.501, 0.411], [0.246, 0.632, 0.754], [0.674, 0.489, 0.329], [0.999, 0.750, 0.760], [0.404, 0.618, 0.581], [0.500, 0.500, 0.500], [0.084, 0.620, 0.825], [0.923, 0.873, 0.903], [0.423, 0.127, 0.597], [0.160, 0.500, 0.591], [0.423, 0.373, 0.597], [0.666, 0.250, 0.172], [0.856, 0.560, 0.574], [0.508, 0.997, 0.251], [0.660, 0.500, 0.909], [0.826, 0.011, 0.829], [0.334, 0.250, 0.667], [0.420, 0.630, 0.907], [0.253, 0.376, 0.237], [0.340, 0.500, 0.091], [0.499, 0.250, 0.740], [0.144, 0.060, 0.426], [0.142, 0.501, 0.911], [0.340, 0.000, 0.091], [0.916, 0.120, 0.175], [0.596, 0.118, 0.419], [0.644, 0.560, 0.074], [0.080, 0.870, 0.407], [0.673, 0.250, 0.602], [0.660, 0.000, 0.909], [0.580, 0.370, 0.093], [0.420, 0.383, 0.166], [0.420, 0.870, 0.907], [0.580, 0.617, 0.834], [0.404, 0.882, 0.581], [0.174, 0.511, 0.171], [0.785, 0.250, 0.441], [0.500, 0.000, 0.500], [0.254, 0.632, 0.254], [0.746, 0.368, 0.746], [0.580, 0.130, 0.093], [0.992, 0.503, 0.751], [0.577, 0.873, 0.403], [0.920, 0.617, 0.334], [0.508, 0.503, 0.251], [0.160, 0.000, 0.591], [0.584, 0.380, 0.675], [0.077, 0.373, 0.097], [0.754, 0.132, 0.246], [0.008, 0.003, 0.249], [0.166, 0.250, 0.167], [0.503, 0.750, 0.762], [0.575, 0.750, 0.607], [0.096, 0.618, 0.081], [0.285, 0.750, 0.059], [0.174, 0.989, 0.171], [0.642, 0.499, 0.589], [0.246, 0.868, 0.754], [0.858, 0.499, 0.089], [0.920, 0.883, 0.334], [0.827, 0.250, 0.102], [0.358, 0.999, 0.411], [0.000, 0.000, 0.000], [0.584, 0.120, 0.675], [0.840, 0.000, 0.409], [0.416, 0.620, 0.325], [0.356, 0.060, 0.926], [0.077, 0.127, 0.097], [0.356, 0.440, 0.926], [0.492, 0.003, 0.749], [0.666, 0.750, 0.333], [0.577, 0.627, 0.403], [0.856, 0.940, 0.574], [0.828, 0.750, 0.404], [0.247, 0.124, 0.737], [0.328, 0.250, 0.096], [0.416, 0.880, 0.325], [0.826, 0.489, 0.829], [0.747, 0.624, 0.763], [0.327, 0.750, 0.398], [0.326, 0.989, 0.671], [0.080, 0.630, 0.407], [0.642, 0.001, 0.589], [0.003, 0.250, 0.738], [0.492, 0.497, 0.749], [0.997, 0.750, 0.262], [0.925, 0.750, 0.107], [0.858, 0.001, 0.089], [0.001, 0.250, 0.240], [0.834, 0.250, 0.672], [0.420, 0.117, 0.166], [0.754, 0.368, 0.246], [0.254, 0.868, 0.254], [0.747, 0.876, 0.763], [0.425, 0.250, 0.393], [0.753, 0.876, 0.263], [0.672, 0.750, 0.904], [0.172, 0.250, 0.596], [0.746, 0.132, 0.746], [0.080, 0.383, 0.666], [0.596, 0.382, 0.419], [0.000, 0.500, 0.000], [0.008, 0.497, 0.249], [0.920, 0.130, 0.593], [0.080, 0.117, 0.666], [0.326, 0.511, 0.671], [0.247, 0.376, 0.737], [0.173, 0.750, 0.898], [0.501, 0.750, 0.260], [0.497, 0.250, 0.238], [0.992, 0.997, 0.751], [0.834, 0.750, 0.833], [0.753, 0.624, 0.263], [0.715, 0.250, 0.941], [0.840, 0.500, 0.409], [0.674, 0.011, 0.329], [0.084, 0.880, 0.825], [0.142, 0.999, 0.911]]}

---

[7]
{"formula": "MnPbO3", "functional": "GGA+U", "state": "relaxed", "e_form_ev_per_atom": -1.638, "spacegroup": "No. 13", "magmom_total_mub_per_atom": 0.60, "crystal_system": "monoclinic", "cell": [[5.898, 0.000, 0.000], [0.000, 5.067, 0.000], [0.000, 0.823, 10.328]], "species": ["O", "Pb", "O", "O", "Pb", "O", "Mn", "O", "Mn", "O", "Pb", "O", "O", "Mn", "Mn", "O", "O", "O", "O", "Pb"], "frac_coords": [[0.824, 0.534, 0.403], [0.787, 0.008, 0.371], [0.128, 0.403, 0.096], [0.128, 0.097, 0.904], [0.787, 0.492, 0.629], [0.621, 0.098, 0.905], [0.377, 0.250, 0.000], [0.176, 0.034, 0.403], [0.127, 0.750, 0.000], [0.621, 0.402, 0.095], [0.213, 0.992, 0.629], [0.824, 0.966, 0.597], [0.379, 0.598, 0.905], [0.873, 0.250, 0.000], [0.623, 0.750, 0.000], [0.176, 0.466, 0.597], [0.872, 0.903, 0.096], [0.379, 0.902, 0.095], [0.872, 0.597, 0.904], [0.213, 0.508, 0.371]]}

---

[8]
{"formula": "MnPbO3", "functional": "GGA+U", "state": "relaxed", "e_form_ev_per_atom": -1.643, "spacegroup": "No. 15", "magmom_total_mub_per_atom": 0.60, "crystal_system": "monoclinic", "cell": [[5.606, 0.000, 0.157], [2.803, 4.841, 0.079], [0.120, 0.000, 13.855]], "species": ["O", "Pb", "Mn", "O", "O", "O", "Pb", "O", "O", "O", "Mn", "O", "Pb", "Pb", "Mn", "O", "O", "Pb", "O", "O", "Mn", "O", "Mn", "O", "O", "Mn", "Pb", "O", "O", "O"], "frac_coords": [[0.386, 0.835, 0.942], [0.989, 0.021, 0.750], [0.000, 0.000, 0.500], [0.513, 0.975, 0.750], [0.779, 0.835, 0.558], [0.275, 0.831, 0.600], [0.330, 0.340, 0.911], [0.725, 0.169, 0.400], [0.485, 0.475, 0.235], [0.894, 0.336, 0.920], [0.646, 0.674, 0.655], [0.614, 0.165, 0.058], [0.671, 0.660, 0.411], [0.329, 0.340, 0.589], [0.320, 0.326, 0.155], [0.040, 0.475, 0.265], [0.106, 0.664, 0.080], [0.670, 0.660, 0.089], [0.515, 0.525, 0.765], [0.770, 0.336, 0.580], [0.354, 0.326, 0.345], [0.106, 0.169, 0.100], [0.000, 0.000, 0.000], [0.487, 0.025, 0.250], [0.894, 0.831, 0.900], [0.680, 0.674, 0.845], [0.011, 0.979, 0.250], [0.221, 0.165, 0.442], [0.230, 0.664, 0.420], [0.960, 0.525, 0.735]]}

---

[9]
{"formula": "MnPbO3", "functional": "GGA+U", "state": "relaxed", "e_form_ev_per_atom": -1.601, "spacegroup": "No. 221", "magmom_total_mub_per_atom": 0.60, "crystal_system": "cubic", "cell": [[-1.917, 3.120, 1.383], [-3.377, -1.965, -0.248], [0.496, -1.314, 3.654]], "species": ["O", "Mn", "O", "Pb", "O"], "frac_coords": [[0.000, 0.500, 0.500], [0.500, 0.500, 0.500], [0.500, 0.000, 0.500], [0.000, 0.000, 0.000], [0.500, 0.500, 0.000]]}

---

| no. | DFT total energy (eV/atom) | V (Å³ per cell) |
| --- | --- | --- |
| 1 | -6.98 | 672.1 |
| 2 | -6.73 | 332.7 |
| 3 | -7.14 | 639.6 |
| 4 | -6.98 | 513.3 |
| 5 | -6.45 | 317.3 |
| 6 | -6.89 | 1676.2 |
| 7 | -6.44 | 308.6 |
| 8 | -6.44 | 375.9 |
| 9 | -6.40 | 60.0 |